LiMnP3H8O13: relaxed, PBE+U.

* relative energy among the computed polymorphs: 9.5 meV/atom
* MP2020-corrected energy: -6.540 eV per atom
* E_tot: -318.89 eV per cell

a b c (Å): 7.362 7.828 10.140
angles (deg): 84.05 74.47 76.64
Sites, in units of the cell vectors:
H 0.312 0.299 0.603
H 0.347 0.379 0.995
H 0.852 0.652 0.008
H 0.148 0.348 0.992
H 0.810 0.824 0.430
H 0.075 0.264 0.793
H 0.097 0.642 0.088
H 0.317 0.865 0.102
H 0.653 0.621 0.005
H 0.372 0.967 0.961
H 0.190 0.176 0.570
H 0.903 0.358 0.912
H 0.628 0.033 0.039
H 0.925 0.736 0.207
H 0.683 0.135 0.898
H 0.688 0.701 0.397
O 0.475 0.878 0.789
O 0.427 0.659 0.391
O 0.386 0.592 0.746
O 0.414 0.653 0.140
O 0.721 0.020 0.947
O 0.586 0.347 0.860
O 0.195 0.960 0.385
O 0.755 0.550 0.671
O 0.879 0.145 0.185
O 0.906 0.292 0.441
O 0.121 0.855 0.815
O 0.805 0.040 0.615
O 0.094 0.708 0.559
O 0.614 0.408 0.254
O 0.787 0.612 0.948
O 0.525 0.122 0.211
O 0.179 0.282 0.617
O 0.279 0.980 0.053
O 0.358 0.858 0.580
O 0.642 0.142 0.420
O 0.018 0.260 0.894
O 0.213 0.388 0.052
O 0.982 0.740 0.106
O 0.245 0.450 0.329
O 0.573 0.341 0.609
O 0.821 0.718 0.383
Mn 0.000 0.000 0.000
Mn 0.000 0.500 0.500
P 0.591 0.457 0.729
P 0.332 0.806 0.743
P 0.245 0.806 0.477
P 0.668 0.194 0.257
P 0.755 0.194 0.523
P 0.409 0.543 0.271
Li 0.196 0.183 0.236
Li 0.804 0.817 0.764

=====

LiMn2P4H11O18: relaxed, PBE+U.

* MP2020-corrected energy: -6.650 eV per atom
* E_tot: -223.70 eV per cell

a b c (Å): 5.440 6.172 11.976
angles (deg): 75.09 83.62 66.38
Sites, in units of the cell vectors:
O 0.240 0.317 0.030
O 0.228 0.853 0.974
O 0.896 0.647 0.578
O 0.890 0.426 0.238
O 0.561 0.557 0.400
O 0.534 0.961 0.187
O 0.467 0.038 0.824
O 0.133 0.820 0.248
O 0.066 0.388 0.437
O 0.863 0.174 0.755
O 0.765 0.146 0.031
O 0.125 0.561 0.771
O 0.169 0.885 0.596
O 0.463 0.406 0.168
O 0.534 0.595 0.838
O 0.753 0.676 0.981
O 0.854 0.107 0.414
O 0.407 0.433 0.600
H 0.007 0.929 0.295
H 0.987 0.503 0.499
H 0.983 0.063 0.707
H 0.979 0.017 0.485
H 0.253 0.680 0.305
H 0.635 0.419 0.186
H 0.361 0.581 0.817
H 0.472 0.491 0.514
H 0.367 0.923 0.207
H 0.749 0.319 0.699
H 0.634 0.078 0.805
P 0.837 0.385 0.369
P 0.499 0.210 0.096
P 0.496 0.787 0.911
P 0.141 0.634 0.638
Mn 0.006 0.296 0.906
Mn 0.993 0.703 0.101
Li 0.470 0.989 0.539